No. 1
An optimized crystal structure of Sn, computed with meta-GGA r2SCAN.

Summary:
total magnetic moment = 0.000 μB/atom
V = 70.9 Å³/cell
ΔH_f (0 K) = 0.0 kcal/mol of atoms
E above lowest polymorph = 0.000 eV per atom
crystal system = cubic

a b c (Å): 4.6457 4.6457 4.6457
angles (deg): 60.00 60.00 60.00
Sites, in units of the cell vectors:
1 Sn 0.8750 0.8750 0.8750
2 Sn 0.1250 0.1250 0.1250

No. 2
An optimized crystal structure of Hf2TcRu, computed with meta-GGA r2SCAN.

Summary:
total magnetic moment = 0.000 μB/atom
V = 67.5 Å³/cell
ΔH_f (0 K) = -17.1 kcal/mol of atoms
crystal system = cubic

a b c (Å): 4.5692 4.5692 4.5692
angles (deg): 60.00 60.00 60.00
Sites, in units of the cell vectors:
1 Hf 0.0000 0.0000 0.0000
2 Hf 0.5000 0.5000 0.5000
3 Tc 0.7500 0.7500 0.7500
4 Ru 0.2500 0.2500 0.2500

No. 3
An optimized crystal structure of CoTeO4, computed with meta-GGA r2SCAN.

Summary:
total magnetic moment = 0.000 μB/atom
V = 265.4 Å³/cell
ΔH_f (0 K) = -27.3 kcal/mol of atoms

a b c (Å): 4.6542 10.3341 5.5636
angles (deg): 82.63 90.00 90.00
Sites, in units of the cell vectors:
1 Co 0.5000 0.6250 0.1249
2 Co 0.0000 0.1250 0.1249
3 Co 0.5000 0.1250 0.6249
4 Co 0.0000 0.6250 0.6249
5 Te 0.0000 0.3750 0.3750
6 Te 0.0000 0.8750 0.8750
7 Te 0.5000 0.3750 0.8750
8 Te 0.5000 0.8750 0.3750
9 O 0.3178 0.0391 0.3479
10 O 0.3178 0.5391 0.8479
11 O 0.1822 0.0391 0.8479
12 O 0.1822 0.5391 0.3479
13 O 0.8178 0.2109 0.4021
14 O 0.8178 0.7109 0.9020
15 O 0.6822 0.2109 0.9021
16 O 0.6822 0.7109 0.4020
17 O 0.7827 0.4484 0.6298
18 O 0.7827 0.9484 0.1297
19 O 0.7173 0.4484 0.1298
20 O 0.7173 0.9484 0.6297
21 O 0.2827 0.3016 0.6204
22 O 0.2827 0.8016 0.1203
23 O 0.2173 0.3016 0.1204
24 O 0.2173 0.8016 0.6203

No. 4
An optimized crystal structure of Bi2Te7Cl8, computed with meta-GGA r2SCAN.

Summary:
total magnetic moment = 0.000 μB/atom
V = 1081.4 Å³/cell
ΔH_f (0 K) = -13.9 kcal/mol of atoms
crystal system = triclinic

a b c (Å): 5.5194 13.4155 15.2219
angles (deg): 103.39 94.95 96.71
Sites, in units of the cell vectors:
1 Bi 0.7984 0.2595 0.2754
2 Bi 0.2016 0.7405 0.7246
3 Bi 0.9124 0.5917 0.3907
4 Bi 0.0876 0.4083 0.6093
5 Te 0.8137 0.9841 0.5649
6 Te 0.1863 0.0159 0.4351
7 Te 0.4698 0.8101 0.1667
8 Te 0.5302 0.1899 0.8333
9 Te 0.1701 0.9581 0.1507
10 Te 0.8299 0.0419 0.8493
11 Te 0.7774 0.8387 0.0336
12 Te 0.2226 0.1613 0.9664
13 Te 0.0603 0.6500 0.0455
14 Te 0.9397 0.3500 0.9545
15 Te 0.3569 0.4922 0.0707
16 Te 0.6431 0.5078 0.9293
17 Te 0.5577 0.1476 0.5623
18 Te 0.4423 0.8524 0.4377
19 Cl 0.8000 0.1513 0.1112
20 Cl 0.2000 0.8487 0.8888
21 Cl 0.3558 0.2761 0.2300
22 Cl 0.6442 0.7239 0.7700
23 Cl 0.9070 0.4504 0.2241
24 Cl 0.0930 0.5496 0.7759
25 Cl 0.8481 0.7379 0.5381
26 Cl 0.1519 0.2621 0.4619
27 Cl 0.7216 0.4230 0.4430
28 Cl 0.2784 0.5770 0.5570
29 Cl 0.4710 0.6011 0.3318
30 Cl 0.5290 0.3989 0.6682
31 Cl 0.0091 0.7564 0.3113
32 Cl 0.9909 0.2436 0.6887
33 Cl 0.3523 0.9192 0.6900
34 Cl 0.6477 0.0808 0.3100

No. 5
An optimized crystal structure of LuIn3, computed with meta-GGA r2SCAN.

Summary:
total magnetic moment = 0.000 μB/atom
V = 95.7 Å³/cell
ΔH_f (0 K) = -9.9 kcal/mol of atoms
crystal system = cubic

a b c (Å): 4.5739 4.5739 4.5739
angles (deg): 90.00 90.00 90.00
Sites, in units of the cell vectors:
1 Lu 0.0000 0.0000 0.0000
2 In 0.5000 0.0000 0.5000
3 In 0.0000 0.5000 0.5000
4 In 0.5000 0.5000 0.0000

No. 6
An optimized crystal structure of V5B6, computed with meta-GGA r2SCAN.

Summary:
total magnetic moment = 0.000 μB/atom
V = 95.3 Å³/cell
ΔH_f (0 K) = -20.2 kcal/mol of atoms
crystal system = orthorhombic

a b c (Å): 2.9675 3.0339 10.6832
angles (deg): 90.00 97.98 90.00
Sites, in units of the cell vectors:
1 V 0.8057 0.5000 0.6115
2 V 0.1943 0.5000 0.3885
3 V 0.6168 0.0000 0.2335
4 V 0.3832 0.0000 0.7665
5 V 0.0000 0.0000 0.0000
6 B 0.9150 0.5000 0.8300
7 B 0.0850 0.5000 0.1700
8 B 0.5408 0.5000 0.0817
9 B 0.4592 0.5000 0.9183
10 B 0.7261 0.0000 0.4522
11 B 0.2739 0.0000 0.5478

No. 7
An optimized crystal structure of Sn3As4, computed with meta-GGA r2SCAN.

Summary:
total magnetic moment = 0.000 μB/atom
V = 197.1 Å³/cell
ΔH_f (0 K) = -1.5 kcal/mol of atoms
crystal system = cubic

a b c (Å): 5.8191 5.8191 5.8193
angles (deg): 90.00 90.00 90.00
Sites, in units of the cell vectors:
1 Sn 0.0000 0.0000 0.0000
2 Sn 0.5000 0.0000 0.5000
3 Sn 0.0000 0.5000 0.5000
4 As 0.2843 0.7157 0.7843
5 As 0.7157 0.2843 0.7843
6 As 0.2843 0.2843 0.2157
7 As 0.7157 0.7157 0.2157

No. 8
An optimized crystal structure of Tb2TiO5, computed with meta-GGA r2SCAN.

Summary:
total magnetic moment = 0.000 μB/atom
V = 433.7 Å³/cell
ΔH_f (0 K) = -86.8 kcal/mol of atoms
crystal system = orthorhombic

a b c (Å): 3.7013 10.3892 11.2777
angles (deg): 90.00 90.00 90.00
Sites, in units of the cell vectors:
1 Tb 0.2500 0.1364 0.9438
2 Tb 0.2500 0.6364 0.5562
3 Tb 0.7500 0.8636 0.0562
4 Tb 0.7500 0.3636 0.4438
5 Tb 0.7500 0.3857 0.7768
6 Tb 0.7500 0.8857 0.7232
7 Tb 0.2500 0.6143 0.2232
8 Tb 0.2500 0.1143 0.2768
9 Ti 0.2500 0.1749 0.6195
10 Ti 0.2500 0.6749 0.8805
11 Ti 0.7500 0.8251 0.3805
12 Ti 0.7500 0.3251 0.1195
13 O 0.2500 0.2240 0.4576
14 O 0.2500 0.7240 0.0424
15 O 0.7500 0.7760 0.5424
16 O 0.7500 0.2760 0.9576
17 O 0.2500 0.4932 0.3951
18 O 0.2500 0.9932 0.1049
19 O 0.7500 0.5068 0.6049
20 O 0.7500 0.0068 0.8951
21 O 0.2500 0.2635 0.1170
22 O 0.2500 0.7635 0.3830
23 O 0.7500 0.7365 0.8830
24 O 0.7500 0.2365 0.6170
25 O 0.2500 0.0077 0.6544
26 O 0.2500 0.5077 0.8456
27 O 0.7500 0.9923 0.3456
28 O 0.7500 0.4923 0.1544
29 O 0.2500 0.2573 0.7705
30 O 0.2500 0.7573 0.7295
31 O 0.7500 0.7427 0.2295
32 O 0.7500 0.2427 0.2705

No. 9
An optimized crystal structure of ThSe2, computed with meta-GGA r2SCAN.

Summary:
total magnetic moment = 0.000 μB/atom
V = 309.6 Å³/cell
ΔH_f (0 K) = -46.7 kcal/mol of atoms
crystal system = orthorhombic

a b c (Å): 4.4531 7.6390 9.1022
angles (deg): 90.00 90.00 90.00
Sites, in units of the cell vectors:
1 Th 0.2500 0.2511 0.3799
2 Th 0.7500 0.7489 0.6201
3 Th 0.2500 0.7511 0.1201
4 Th 0.7500 0.2489 0.8799
5 Se 0.2500 0.0278 0.6631
6 Se 0.7500 0.9722 0.3369
7 Se 0.2500 0.5278 0.8369
8 Se 0.7500 0.4722 0.1631
9 Se 0.7500 0.3601 0.5708
10 Se 0.2500 0.6399 0.4292
11 Se 0.7500 0.8601 0.9292
12 Se 0.2500 0.1399 0.0708

No. 10
An optimized crystal structure of ZnGa11Co4, computed with meta-GGA r2SCAN.

Summary:
total magnetic moment = 0.025 μB/atom
V = 243.6 Å³/cell
ΔH_f (0 K) = -4.6 kcal/mol of atoms
crystal system = monoclinic

a b c (Å): 6.1813 6.2408 6.3145
angles (deg): 90.00 90.00 90.09
Sites, in units of the cell vectors:
1 Zn 0.5000 0.0000 0.0000
2 Ga 0.3508 0.6603 0.2363
3 Ga 0.6492 0.3397 0.2363
4 Ga 0.1540 0.1490 0.7462
5 Ga 0.8460 0.8510 0.7462
6 Ga 0.6492 0.3397 0.7637
7 Ga 0.3508 0.6603 0.7637
8 Ga 0.8460 0.8510 0.2538
9 Ga 0.1540 0.1490 0.2538
10 Ga 0.0000 0.5000 0.5000
11 Ga 0.0000 0.5000 0.0000
12 Ga 0.5000 0.0000 0.5000
13 Co 0.1559 0.8430 0.5000
14 Co 0.8441 0.1570 0.5000
15 Co 0.3414 0.3525 0.0000
16 Co 0.6586 0.6475 0.0000

No. 11
An optimized crystal structure of Ru, computed with meta-GGA r2SCAN.

Summary:
total magnetic moment = 0.000 μB/atom
V = 13.6 Å³/cell
ΔH_f (0 K) = 3.0 kcal/mol of atoms
E above lowest polymorph = 0.131 eV per atom
crystal system = cubic

a b c (Å): 2.6809 2.6809 2.6809
angles (deg): 60.00 60.00 60.00
Sites, in units of the cell vectors:
1 Ru 0.0000 0.0000 0.0000

No. 12
An optimized crystal structure of Be12V, computed with meta-GGA r2SCAN.

Summary:
total magnetic moment = 0.042 μB/atom
V = 108.1 Å³/cell
ΔH_f (0 K) = -2.6 kcal/mol of atoms
crystal system = tetragonal

a b c (Å): 4.1453 5.5103 5.5103
angles (deg): 81.87 67.90 67.90
Sites, in units of the cell vectors:
1 Be 0.5000 0.7878 0.2122
2 Be 0.3476 0.6515 0.6515
3 Be 0.0000 0.3487 0.6513
4 Be 0.0000 0.6513 0.3487
5 Be 0.7112 0.7879 0.7879
6 Be 0.5000 0.0000 0.5000
7 Be 0.5000 0.2122 0.7878
8 Be 0.6524 0.3485 0.3485
9 Be 0.2888 0.2121 0.2121
10 Be 0.5000 0.5000 0.0000
11 Be 0.0000 0.5000 0.0000
12 Be 0.0000 0.0000 0.5000
13 V 0.0000 0.0000 0.0000

No. 13
An optimized crystal structure of VGaTc2, computed with meta-GGA r2SCAN.

Summary:
total magnetic moment = 0.000 μB/atom
V = 55.2 Å³/cell
ΔH_f (0 K) = -7.0 kcal/mol of atoms
crystal system = cubic

a b c (Å): 4.2748 4.2748 4.2748
angles (deg): 60.00 60.00 60.00
Sites, in units of the cell vectors:
1 V 0.7500 0.7500 0.7500
2 Ga 0.2500 0.2500 0.2500
3 Tc 0.5000 0.5000 0.5000
4 Tc 0.0000 0.0000 0.0000

No. 14
An optimized crystal structure of CsAs2Ir2, computed with meta-GGA r2SCAN.

Summary:
total magnetic moment = 0.000 μB/atom
V = 121.0 Å³/cell
ΔH_f (0 K) = -13.3 kcal/mol of atoms
crystal system = tetragonal

a b c (Å): 7.9418 7.9418 7.9418
angles (deg): 150.52 150.52 42.18
Sites, in units of the cell vectors:
1 Cs 0.0000 0.0000 0.0000
2 As 0.3431 0.3431 0.0000
3 As 0.6569 0.6569 0.0000
4 Ir 0.7500 0.2500 0.5000
5 Ir 0.2500 0.7500 0.5000

No. 15
An optimized crystal structure of NbRh, computed with meta-GGA r2SCAN.

Summary:
total magnetic moment = 0.000 μB/atom
V = 63.7 Å³/cell
ΔH_f (0 K) = -9.1 kcal/mol of atoms
crystal system = orthorhombic

a b c (Å): 2.8311 4.5788 4.9173
angles (deg): 90.00 90.00 90.00
Sites, in units of the cell vectors:
1 Nb 0.0000 0.7500 0.7996
2 Nb 0.0000 0.2500 0.2004
3 Rh 0.5000 0.7500 0.3115
4 Rh 0.5000 0.2500 0.6885

No. 16
An optimized crystal structure of K3IO5, computed with meta-GGA r2SCAN.

Summary:
total magnetic moment = 0.000 μB/atom
V = 630.8 Å³/cell
ΔH_f (0 K) = -29.4 kcal/mol of atoms
crystal system = tetragonal

a b c (Å): 6.2282 6.2282 16.2610
angles (deg): 90.00 90.00 90.00
Sites, in units of the cell vectors:
1 K 0.5000 0.0000 0.3940
2 K 0.0000 0.5000 0.1060
3 K 0.0000 0.5000 0.6060
4 K 0.5000 0.0000 0.8940
5 K 0.5000 0.5000 0.0000
6 K 0.0000 0.0000 0.0000
7 K 0.0000 0.0000 0.5000
8 K 0.5000 0.5000 0.5000
9 K 0.5000 0.5000 0.2500
10 K 0.0000 0.0000 0.2500
11 K 0.0000 0.0000 0.7500
12 K 0.5000 0.5000 0.7500
13 I 0.5000 0.0000 0.1289
14 I 0.0000 0.5000 0.3711
15 I 0.0000 0.5000 0.8711
16 I 0.5000 0.0000 0.6289
17 O 0.5000 0.0000 0.2396
18 O 0.0000 0.5000 0.2604
19 O 0.0000 0.5000 0.7604
20 O 0.5000 0.0000 0.7396
21 O 0.7042 0.2068 0.1060
22 O 0.2932 0.2042 0.1060
23 O 0.7068 0.7958 0.1060
24 O 0.2042 0.2932 0.3940
25 O 0.7958 0.7068 0.3940
26 O 0.2958 0.7932 0.1060
27 O 0.2068 0.7042 0.3940
28 O 0.7932 0.2958 0.3940
29 O 0.7958 0.2932 0.8940
30 O 0.2068 0.2958 0.8940
31 O 0.7932 0.7042 0.8940
32 O 0.2958 0.2068 0.6060
33 O 0.7042 0.7932 0.6060
34 O 0.2042 0.7068 0.8940
35 O 0.2932 0.7958 0.6060
36 O 0.7068 0.2042 0.6060

No. 17
An optimized crystal structure of Pb3SO6, computed with meta-GGA r2SCAN.

Summary:
total magnetic moment = 0.000 μB/atom
V = 331.7 Å³/cell
ΔH_f (0 K) = -34.1 kcal/mol of atoms
crystal system = triclinic

a b c (Å): 5.8057 7.2304 8.1072
angles (deg): 102.67 91.01 92.03
Sites, in units of the cell vectors:
1 Pb 0.7426 0.6058 0.4149
2 Pb 0.2517 0.9198 0.6248
3 Pb 0.2333 0.7749 0.1539
4 Pb 0.7667 0.2251 0.8461
5 Pb 0.2574 0.3942 0.5851
6 Pb 0.7483 0.0802 0.3752
7 S 0.2669 0.2982 0.1419
8 S 0.7331 0.7018 0.8581
9 O 0.0841 0.4409 0.1736
10 O 0.5071 0.5986 0.8441
11 O 0.9938 0.8274 0.3778
12 O 0.9159 0.5591 0.8264
13 O 0.2531 0.1835 0.2751
14 O 0.4929 0.4014 0.1559
15 O 0.4937 0.8187 0.3800
16 O 0.2328 0.1715 0.9749
17 O 0.0062 0.1726 0.6222
18 O 0.7672 0.8285 0.0251
19 O 0.7469 0.8165 0.7249
20 O 0.5063 0.1813 0.6200

No. 18
An optimized crystal structure of K3NaS2O8, computed with meta-GGA r2SCAN.

Summary:
total magnetic moment = 0.000 μB/atom
V = 200.6 Å³/cell
ΔH_f (0 K) = -47.3 kcal/mol of atoms
crystal system = trigonal

a b c (Å): 5.6449 5.6449 7.2705
angles (deg): 90.00 90.00 120.00
Sites, in units of the cell vectors:
1 K 0.3333 0.6667 0.1753
2 K 0.0000 0.0000 0.5000
3 K 0.6667 0.3333 0.8247
4 Na 0.0000 0.0000 0.0000
5 S 0.6667 0.3333 0.2680
6 S 0.3333 0.6667 0.7320
7 O 0.1910 0.8090 0.8040
8 O 0.1910 0.3821 0.8040
9 O 0.6179 0.8090 0.8040
10 O 0.3821 0.1910 0.1960
11 O 0.8090 0.6179 0.1960
12 O 0.8090 0.1910 0.1960
13 O 0.6667 0.3333 0.4685
14 O 0.3333 0.6667 0.5315

No. 19
An optimized crystal structure of ErBeO3, computed with meta-GGA r2SCAN.

Summary:
total magnetic moment = 0.200 μB/atom
V = 43.6 Å³/cell
ΔH_f (0 K) = -62.8 kcal/mol of atoms
crystal system = cubic

a b c (Å): 3.5204 3.5204 3.5204
angles (deg): 90.00 90.00 90.00
Sites, in units of the cell vectors:
1 Er 0.0000 0.0000 0.0000
2 Be 0.5000 0.5000 0.5000
3 O 0.5000 0.5000 0.0000
4 O 0.5000 0.0000 0.5000
5 O 0.0000 0.5000 0.5000